No. 1
Entry from the Materials Project database: a geometry-optimized Li2Cu2C2O7 structure (GGA-PBE).

Lattice parameters (Å, degrees): 5.6875 10.1075 10.1102 68.20 90.00 90.00
Element x y z (fractional)
O (0.9213, 0.8856, 0.9826)
C (0.6300, 0.1869, 0.7783)
Li (0.7839, 0.4737, 0.6228)
O (0.2268, 0.7161, 0.2132)
O (0.7268, 0.7839, 0.7868)
O (0.2732, 0.2161, 0.2132)
Cu (0.3650, 0.2184, 0.0251)
O (0.1737, 0.3749, 0.5784)
Li (0.0639, 0.7515, 0.4810)
O (0.8263, 0.6251, 0.4216)
C (0.2489, 0.9612, 0.6355)
O (0.3497, 0.8581, 0.3226)
Li (0.2839, 0.0263, 0.3772)
Cu (0.6659, 0.4726, 0.1147)
O (0.4664, 0.1385, 0.8770)
C (0.7489, 0.5387, 0.3645)
C (0.8700, 0.6869, 0.7783)
Cu (0.1350, 0.7184, 0.0251)
O (0.6503, 0.1419, 0.6774)
O (0.7424, 0.0787, 0.2260)
O (0.5787, 0.3856, 0.9826)
O (0.1693, 0.0852, 0.5548)
O (0.9664, 0.3615, 0.1230)
O (0.3263, 0.8749, 0.5784)
O (0.1503, 0.3581, 0.3226)
C (0.1300, 0.3131, 0.2217)
Cu (0.3341, 0.5274, 0.8853)
O (0.4213, 0.6144, 0.0174)
O (0.2576, 0.9213, 0.7740)
O (0.6737, 0.1251, 0.4216)
Cu (0.1659, 0.0274, 0.8853)
O (0.5336, 0.8615, 0.1230)
Cu (0.8341, 0.9726, 0.1147)
O (0.3307, 0.5852, 0.5548)
O (0.0787, 0.1144, 0.0174)
C (0.3700, 0.8131, 0.2217)
C (0.7511, 0.0388, 0.3645)
O (0.2424, 0.4213, 0.7740)
Li (0.9361, 0.2485, 0.5190)
C (0.2511, 0.4612, 0.6355)
Li (0.5639, 0.7485, 0.5190)
Cu (0.6350, 0.7816, 0.9749)
Cu (0.8650, 0.2816, 0.9749)
O (0.0336, 0.6385, 0.8770)
Li (0.2161, 0.5263, 0.3772)
Li (0.7161, 0.9737, 0.6228)
O (0.8497, 0.6419, 0.6774)
O (0.6693, 0.4148, 0.4452)
O (0.8307, 0.9148, 0.4452)
O (0.7732, 0.2839, 0.7868)
O (0.7576, 0.5787, 0.2260)
Li (0.4361, 0.2515, 0.4810)

Properties
* E_form: -1660 meV per atom
* magnetic moment: 0.0 Bohr magnetons per cell
* density: 3.41 g/cm³
* crystal system: monoclinic
* energy: -6.30 eV per atom
* V: 540 Å³/cell


No. 2
Entry from the Materials Project database: a geometry-optimized LiCuC2O5 structure (GGA-PBE).

Lattice parameters (Å, degrees): 7.3036 7.3036 10.0441 68.75 68.75 89.81
Element x y z (fractional)
C (0.7664, 0.7736, 0.3984)
O (0.1480, 0.1851, 0.7424)
O (0.6751, 0.2467, 0.5900)
O (0.2467, 0.6751, 0.0900)
O (0.2826, 0.4305, 0.4948)
O (0.7533, 0.3249, 0.9100)
C (0.2264, 0.2336, 0.1016)
C (0.2585, 0.6006, 0.5348)
O (0.7174, 0.5695, 0.5052)
O (0.7121, 0.8906, 0.4664)
C (0.7736, 0.7664, 0.8984)
Li (0.0416, 0.3430, 0.8569)
C (0.2336, 0.2264, 0.6016)
O (0.5862, 0.1840, 0.1717)
O (0.1840, 0.5862, 0.6717)
O (0.8149, 0.8520, 0.7576)
Li (0.3430, 0.0416, 0.3569)
C (0.3994, 0.7415, 0.9652)
C (0.6006, 0.2585, 0.0348)
O (0.8520, 0.8149, 0.2576)
O (0.3249, 0.7533, 0.4100)
O (0.5695, 0.7174, 0.0052)
Li (0.6570, 0.9584, 0.6431)
O (0.1094, 0.2879, 0.0336)
Cu (0.8297, 0.1703, 0.2500)
Cu (0.1703, 0.8297, 0.7500)
O (0.4305, 0.2826, 0.9948)
O (0.4138, 0.8160, 0.8283)
O (0.8906, 0.7121, 0.9664)
Cu (0.3799, 0.6201, 0.2500)
O (0.8160, 0.4138, 0.3283)
O (0.1851, 0.1480, 0.2424)
Cu (0.6201, 0.3799, 0.7500)
O (0.2879, 0.1094, 0.5336)
C (0.7415, 0.3994, 0.4652)
Li (0.9584, 0.6570, 0.1431)

Properties
* E_form: -1619 meV per atom
* magnetic moment: 0.0 Bohr magnetons per cell
* density: 2.52 g/cm³
* crystal system: monoclinic
* energy: -6.70 eV per atom
* V: 460 Å³/cell


No. 3
Entry from the Materials Project database: a geometry-optimized Li2Cu3C3O9 structure (GGA-PBE).

Lattice parameters (Å, degrees): 6.2419 8.1903 8.2056 60.22 90.00 90.00
Element x y z (fractional)
C (0.0000, 0.6623, 0.6720)
Cu (0.2544, 0.3616, 0.9880)
O (0.7723, 0.8928, 0.9263)
O (0.7474, 0.2623, 0.5182)
Li (0.0000, 0.6751, 0.0271)
Cu (0.7456, 0.3616, 0.9880)
O (0.2535, 0.1855, 0.8843)
Cu (0.7526, 0.6640, 0.3553)
Li (0.0000, 0.2960, 0.6762)
O (0.2277, 0.8928, 0.9263)
Li (0.5000, 0.0279, 0.2968)
Li (0.5000, 0.2976, 0.6751)
Cu (0.2481, 0.9780, 0.6554)
O (0.2663, 0.2234, 0.2662)
O (0.7465, 0.1855, 0.8843)
O (0.5000, 0.5783, 0.5645)
O (0.5000, 0.8486, 0.5756)
O (0.7692, 0.5128, 0.2273)
C (0.7500, 0.3339, 0.3350)
C (0.2500, 0.3339, 0.3350)
O (0.7316, 0.9341, 0.1752)
O (0.2308, 0.5128, 0.2273)
O (0.5000, 0.5684, 0.8446)
O (0.0000, 0.8434, 0.5873)
C (0.7500, 0.0017, 0.9969)
O (0.2526, 0.2623, 0.5182)
Cu (0.7519, 0.9780, 0.6554)
O (0.0000, 0.5735, 0.5760)
C (0.2500, 0.0017, 0.9969)
Cu (0.2474, 0.6640, 0.3553)
O (0.7337, 0.2234, 0.2662)
C (0.5000, 0.6639, 0.6645)
O (0.2684, 0.9341, 0.1752)
O (0.0000, 0.5637, 0.8563)

Properties
* E_form: -1572 meV per atom
* magnetic moment: 2.0 Bohr magnetons per cell
* density: 3.51 g/cm³
* crystal system: monoclinic
* energy: -6.40 eV per atom
* V: 364 Å³/cell
* offset from the most stable computed form: 0.0 meV/atom